# 1
Compound: Li8V11O22
Source: the Materials Project database
Functional: GGA+U
Structure: relaxed

The calculation puts the calculated formation energy at -2.46 eV per atom. For the total magnetic moment, the calculation gives 19.00 μB per formula unit.

Cell: 5.1834 8.9267 10.0322 Å, 114.17 95.51 95.02°
Closest atoms and distances in Å follow each position.
Space group P-1 (No. 2)
Symmetry-distinct sites (fractional):
Li1 0.0343 0.1720 0.0853  6 O 2.08-2.30
Li2 0.1523 0.5538 0.2725  5 O 2.09-2.23
Li3 0.2275 0.9120 0.4543  6 O 2.12-2.29
Li4 0.4037 0.6334 0.8166  6 O 2.16-2.30
V1 0.0406 0.6817 0.5861  6 O 2.01-2.11
V2 0.1474 0.0499 0.7778  6 O 1.90-2.03
V3 0.2234 0.4097 0.9476  6 O 2.03-2.10
V4 0.3230 0.7755 0.1363  6 O 2.03-2.08
V5 0.4053 0.1407 0.3189  6 O 1.99-2.11
V6 0.5000 0.5000 0.5000  6 O 1.95-2.01
O1 0.0088 0.7566 0.2385  3 V 2.03-2.04, 2 Li 2.15-2.17
O2 0.0775 0.1024 0.4081  3 V 1.98-2.06, 1 Li 2.12
O3 0.0897 0.6155 0.9413  3 V 2.04-2.10, 3 Li 2.16-2.23
O4 0.1627 0.9727 0.1269  3 V 1.98-2.09, 2 Li 2.08-2.13
O5 0.1864 0.4844 0.6001  3 V 2.01-2.03, 1 Li 2.16
O6 0.2675 0.8397 0.7745  3 V 2.01-2.04, 2 Li 2.21-2.22
O7 0.2814 0.3441 0.3083  3 V 2.01-2.11, 2 Li 2.19
O8 0.3456 0.2015 0.9599  3 V 1.90-2.08
O9 0.3599 0.6881 0.4839  3 V 1.95-2.11, 1 Li 2.09
O10 0.4464 0.5684 0.1411  3 V 2.03-2.04, 2 Li 2.14-2.20
O11 0.4560 0.0554 0.6700  3 V 1.99-2.06, 2 Li 2.17-2.22

# 2
Compound: LiV2O5
Source: the Materials Project database
Functional: GGA+U
Structure: relaxed

The calculation puts the calculated formation energy at -2.40 eV per atom. For the total magnetic moment, the calculation gives 1.00 μB per formula unit. The offset from the most stable computed form is 0.0581 eV per atom.

Cell: 3.6635 10.0375 11.4307 Å, 90.00 90.00 90.00°
Closest atoms and distances in Å follow each position.
Space group Cmcm (No. 63)
Symmetry-distinct sites (fractional):
Li1 0.0000 0.0988 0.2500  4 O 2.02-2.17
V1 0.0000 0.2058 0.6016  1 O 1.64
O1 0.0000 0.0452 0.6263  1 V 1.64
O2 0.0000 0.2399 0.0710  3 V 1.94-2.00
O3 0.0000 0.2850 0.7500  2 V 1.87

# 3
Compound: LiV2O5
Source: the Materials Project database
Functional: GGA+U
Structure: relaxed

The calculation puts the calculated formation energy at -2.38 eV per atom. For the total magnetic moment, the calculation gives 1.00 μB per formula unit. The offset from the most stable computed form is 0.0701 eV per atom.

Cell: 9.7179 11.3987 3.6486 Å, 90.00 90.00 90.00°
Closest atoms and distances in Å follow each position.
Space group Pnma (No. 62)
Symmetry-distinct sites (fractional):
Li1 0.1035 0.2500 0.1230  4 O 2.13-2.26
V1 0.1971 0.6000 0.1509  1 O 1.65
O1 0.0298 0.6229 0.1459  1 V 1.65
O2 0.2284 0.2500 0.6447  2 V 1.86
O3 0.2438 0.0718 0.1526  3 V 1.93-2.01

Question: Which formula does entry 1 have?
Answer: Li8V11O22

Question: The highest total magnetic moment belongs to which entry?
Answer: Li8V11O22

Question: Among the records above, which one has the lowest calculated formation energy?
Answer: Li8V11O22

Question: Which value of total magnetic moment does entry 3 give?
Answer: 1.00 μB per formula unit